First-principles (GGA-PBE) data for a geometry-optimized LaBiO3 structure, as listed in Materials Project.

Calculated values
DFT formation energy, kJ/mol of formula units: -1319
Largest piezoelectric modulus, C/m2: 4.44
E_tot, eV/atom: -7.056

The structure in CIF format:
```
data_LaBiO3
_symmetry_space_group_name_H-M 'R 3 c'
_symmetry_Int_Tables_number 161
_symmetry_space_group_name_Hall 'R 3 -2"c'
_cell_length_a 6.2716
_cell_length_b 6.2716
_cell_length_c 15.3631
_cell_angle_alpha 90.00
_cell_angle_beta 90.00
_cell_angle_gamma 120.00
loop_
_atom_site_label
_atom_site_fract_x
_atom_site_fract_y
_atom_site_fract_z
_atom_site_occupancy
La1 0.0000 0.0000 0.0000 1
Bi1 0.0000 0.0000 0.2202 1
O1 0.0035 0.2758 0.1200 1
```